Below is a relaxed FeSiGe crystal, with properties calculated at the PBE level.

Calculated values
Energy of formation from the pure elements: -0.19 eV per atom
Crystal system: orthorhombic
Energy: -6.364 eV per atom

a = 10.149 Å, b = 7.959 Å, c = 8.027 Å
α = 90.00°, β = 90.00°, γ = 90.00°
Space group Cmce (No. 64)
One atom of each set of equivalent atoms:
Fe 0.000 0.191 0.186 x8
Fe 0.216 0.000 0.000 x8
Si 0.127 0.043 0.729 x16
Ge 0.128 0.225 0.448 x16

Below is a relaxed Sm2FeGe4 crystal, with properties calculated at the PBE level.

Calculated values
Energy of formation from the pure elements: -0.59 eV per atom
Crystal system: orthorhombic
Energy: -5.794 eV per atom

a = 4.224 Å, b = 4.267 Å, c = 15.812 Å
α = 90.00°, β = 90.00°, γ = 90.00°
Space group Amm2 (No. 38)
One atom of each set of equivalent atoms:
Sm 0.000 0.000 0.000 x2
Sm 0.500 0.000 0.204 x2
Fe 0.000 0.000 0.799 x2
Ge 0.000 0.000 0.360 x2
Ge 0.000 0.000 0.651 x2
Ge 0.500 0.000 0.545 x2
Ge 0.500 0.000 0.857 x2

Below is a relaxed SmFe2Ge2 crystal, with properties calculated at the PBE level.

Calculated values
Energy of formation from the pure elements: -0.45 eV per atom
Crystal system: tetragonal
Energy: -6.629 eV per atom

a = 3.995 Å, b = 3.995 Å, c = 10.770 Å
α = 90.00°, β = 90.00°, γ = 90.00°
Space group I4/mmm (No. 139)
One atom of each set of equivalent atoms:
Sm 0.000 0.000 0.000 x2
Fe 0.000 0.500 0.250 x4
Ge 0.000 0.000 0.380 x4

Below is a relaxed SmFeGe2 crystal, with properties calculated at the PBE level.

Calculated values
Energy of formation from the pure elements: -0.49 eV per atom
Crystal system: orthorhombic
Energy: -6.098 eV per atom

a = 4.253 Å, b = 16.448 Å, c = 4.316 Å
α = 90.00°, β = 90.00°, γ = 90.00°
Space group Cmcm (No. 63)
One atom of each set of equivalent atoms:
Sm 0.000 0.107 0.250 x4
Fe 0.000 0.315 0.250 x4
Ge 0.000 0.251 0.750 x4
Ge 0.000 0.455 0.250 x4

Below is a relaxed TbFe2Ge2 crystal, with properties calculated at the PBE level.

Calculated values
Energy of formation from the pure elements: -0.45 eV per atom
Crystal system: tetragonal
Energy: -6.617 eV per atom

a = 3.953 Å, b = 3.953 Å, c = 10.703 Å
α = 90.00°, β = 90.00°, γ = 90.00°
Space group I4/mmm (No. 139)
One atom of each set of equivalent atoms:
Tb 0.000 0.000 0.000 x2
Fe 0.000 0.500 0.250 x4
Ge 0.000 0.000 0.382 x4

Below is a relaxed TbFe6Ge6 crystal, with properties calculated at the PBE level.

Calculated values
Energy of formation from the pure elements: -0.28 eV per atom
Crystal system: orthorhombic
Energy: -6.676 eV per atom

a = 8.175 Å, b = 17.743 Å, c = 5.131 Å
α = 90.00°, β = 90.00°, γ = 90.00°
Space group Cmcm (No. 63)
One atom of each set of equivalent atoms:
Tb 0.000 0.127 0.250 x4
Fe 0.250 0.000 0.000 x8
Fe 0.250 0.125 0.750 x8
Fe 0.250 0.250 0.000 x8
Ge 0.000 0.042 0.750 x4
Ge 0.000 0.212 0.750 x4
Ge 0.000 0.295 0.250 x4
Ge 0.000 0.459 0.250 x4
Ge 0.153 0.376 0.750 x8

- Look up the energy of formation from the pure elements of the second one.
  -0.59 eV per atom

What did the third record say?
Below is a relaxed SmFe2Ge2 crystal, with properties calculated at the PBE level.

Calculated values
Energy of formation from the pure elements: -0.45 eV per atom
Crystal system: tetragonal
Energy: -6.629 eV per atom

a = 3.995 Å, b = 3.995 Å, c = 10.770 Å
α = 90.00°, β = 90.00°, γ = 90.00°
Space group I4/mmm (No. 139)
One atom of each set of equivalent atoms:
Sm 0.000 0.000 0.000 x2
Fe 0.000 0.500 0.250 x4
Ge 0.000 0.000 0.380 x4

What did the sixth record say?
Below is a relaxed TbFe6Ge6 crystal, with properties calculated at the PBE level.

Calculated values
Energy of formation from the pure elements: -0.28 eV per atom
Crystal system: orthorhombic
Energy: -6.676 eV per atom

a = 8.175 Å, b = 17.743 Å, c = 5.131 Å
α = 90.00°, β = 90.00°, γ = 90.00°
Space group Cmcm (No. 63)
One atom of each set of equivalent atoms:
Tb 0.000 0.127 0.250 x4
Fe 0.250 0.000 0.000 x8
Fe 0.250 0.125 0.750 x8
Fe 0.250 0.250 0.000 x8
Ge 0.000 0.042 0.750 x4
Ge 0.000 0.212 0.750 x4
Ge 0.000 0.295 0.250 x4
Ge 0.000 0.459 0.250 x4
Ge 0.153 0.376 0.750 x8